[1]
Material: Li5Co7O16
Method: DFT, PBE with a Hubbard U
State: relaxed

Lattice parameters (Å, degrees): 8.076 8.153 8.138 90.00 90.36 90.00
Space group P2_1 (No. 4)
Inequivalent atoms, fractional coordinates:
Li (0.000, 0.000, 0.245) [2 per cell]
Li (0.128, 0.372, 0.368) [2 per cell]
Li (0.250, 0.252, 0.000) [2 per cell]
Li (0.377, 0.623, 0.879) [2 per cell]
Li (0.497, 0.497, 0.243) [2 per cell]
Co (0.122, 0.629, 0.121) [2 per cell]
Co (0.128, 0.875, 0.881) [2 per cell]
Co (0.131, 0.128, 0.624) [2 per cell]
Co (0.242, 0.747, 0.503) [2 per cell]
Co (0.372, 0.875, 0.131) [2 per cell]
Co (0.374, 0.367, 0.620) [2 per cell]
Co (0.376, 0.120, 0.379) [2 per cell]
O (0.104, 0.398, 0.122) [2 per cell]
O (0.108, 0.629, 0.364) [2 per cell]
O (0.112, 0.110, 0.857) [2 per cell]
O (0.117, 0.650, 0.899) [2 per cell]
O (0.130, 0.887, 0.643) [2 per cell]
O (0.138, 0.865, 0.113) [2 per cell]
O (0.146, 0.118, 0.403) [2 per cell]
O (0.149, 0.351, 0.632) [2 per cell]
O (0.346, 0.645, 0.129) [2 per cell]
O (0.354, 0.879, 0.901) [2 per cell]
O (0.365, 0.136, 0.613) [2 per cell]
O (0.367, 0.104, 0.157) [2 per cell]
O (0.379, 0.349, 0.397) [2 per cell]
O (0.386, 0.882, 0.371) [2 per cell]
O (0.389, 0.604, 0.616) [2 per cell]
O (0.404, 0.370, 0.851) [2 per cell]

Results
DFT formation energy in meV per atom: -1483
E_tot in eV per cell: -315.097
Size of the total moment in μB/f.u.: 10.00
Calculated density in g cm⁻³: 4.36

***

[2]
Material: Li9Mn2Co5O16
Method: DFT, PBE with a Hubbard U
State: relaxed

Lattice parameters (Å, degrees): 5.077 5.144 11.196 81.31 86.31 80.30
Space group P1 (No. 1)
Inequivalent atoms, fractional coordinates:
Li (0.000, 0.000, 0.000) [1 per cell]
Li (0.001, 0.249, 0.752) [1 per cell]
Li (0.004, 0.499, 0.491) [1 per cell]
Li (0.007, 0.756, 0.251) [1 per cell]
Li (0.251, 0.186, 0.312) [1 per cell]
Li (0.493, 0.878, 0.128) [1 per cell]
Li (0.497, 0.628, 0.370) [1 per cell]
Li (0.501, 0.126, 0.876) [1 per cell]
Li (0.503, 0.372, 0.623) [1 per cell]
Mn (0.253, 0.946, 0.555) [1 per cell]
Mn (0.752, 0.303, 0.192) [1 per cell]
Co (0.251, 0.428, 0.069) [1 per cell]
Co (0.253, 0.688, 0.814) [1 per cell]
Co (0.752, 0.064, 0.435) [1 per cell]
Co (0.752, 0.558, 0.937) [1 per cell]
Co (0.753, 0.816, 0.687) [1 per cell]
O (0.101, 0.114, 0.155) [1 per cell]
O (0.113, 0.857, 0.416) [1 per cell]
O (0.124, 0.362, 0.909) [1 per cell]
O (0.133, 0.624, 0.657) [1 per cell]
O (0.376, 0.017, 0.710) [1 per cell]
O (0.376, 0.768, 0.960) [1 per cell]
O (0.392, 0.520, 0.207) [1 per cell]
O (0.394, 0.249, 0.472) [1 per cell]
O (0.616, 0.753, 0.531) [1 per cell]
O (0.627, 0.228, 0.038) [1 per cell]
O (0.630, 0.483, 0.782) [1 per cell]
O (0.644, 0.991, 0.284) [1 per cell]
O (0.854, 0.382, 0.342) [1 per cell]
O (0.869, 0.627, 0.094) [1 per cell]
O (0.871, 0.893, 0.839) [1 per cell]
O (0.897, 0.139, 0.584) [1 per cell]

Results
DFT formation energy in meV per atom: -1857
E_tot in eV per cell: -187.132
Distance to the lowest polymorph of the same formula in eV/atom: 0.007
Size of the total moment in μB/f.u.: 6.00
Calculated density in g cm⁻³: 4.22

***

[3]
Material: Ca3V2O8
Method: DFT, PBE with a Hubbard U
State: relaxed

Lattice parameters (Å, degrees): 9.782 5.585 7.139 90.00 117.08 90.00
Space group C2/m (No. 12)
Inequivalent atoms, fractional coordinates:
Ca (0.000, 0.000, 0.000) [2 per cell]
Ca (0.195, 0.000, 0.591) [4 per cell]
V (0.094, 0.500, 0.786) [4 per cell]
O (0.019, 0.243, 0.305) [8 per cell]
O (0.178, 0.500, 0.055) [4 per cell]
O (0.236, 0.500, 0.701) [4 per cell]

Results
DFT formation energy in meV per atom: -2974
E_tot in eV per cell: -187.061
Distance to the lowest polymorph of the same formula in eV/atom: 0.037
Size of the total moment in μB/f.u.: 0.00
Calculated density in g cm⁻³: 3.35

***

[4]
Material: Li6Mn3VP6O24
Method: DFT, PBE with a Hubbard U
State: relaxed

Lattice parameters (Å, degrees): 8.639 8.716 12.356 89.28 87.98 89.20
Space group P1 (No. 1)
Inequivalent atoms, fractional coordinates:
Li (0.000, 0.000, 0.000) [1 per cell]
Li (0.001, 0.613, 0.934) [1 per cell]
Li (0.154, 0.388, 0.476) [1 per cell]
Li (0.157, 0.779, 0.539) [1 per cell]
Li (0.286, 0.474, 0.062) [1 per cell]
Li (0.370, 0.976, 0.912) [1 per cell]
Li (0.498, 0.276, 0.431) [1 per cell]
Li (0.501, 0.892, 0.495) [1 per cell]
Li (0.660, 0.112, 0.039) [1 per cell]
Li (0.667, 0.500, 0.974) [1 per cell]
Li (0.787, 0.411, 0.563) [1 per cell]
Li (0.870, 0.914, 0.408) [1 per cell]
Mn (0.327, 0.152, 0.127) [1 per cell]
Mn (0.327, 0.232, 0.634) [1 per cell]
Mn (0.826, 0.737, 0.626) [1 per cell]
Mn (0.827, 0.658, 0.135) [1 per cell]
Mn (0.831, 0.157, 0.837) [1 per cell]
Mn (0.831, 0.236, 0.344) [1 per cell]
V (0.331, 0.727, 0.344) [1 per cell]
V (0.332, 0.654, 0.846) [1 per cell]
P (0.040, 0.442, 0.733) [1 per cell]
P (0.118, 0.944, 0.742) [1 per cell]
P (0.180, 0.793, 0.086) [1 per cell]
P (0.181, 0.081, 0.376) [1 per cell]
P (0.475, 0.578, 0.588) [1 per cell]
P (0.478, 0.295, 0.890) [1 per cell]
P (0.544, 0.446, 0.229) [1 per cell]
P (0.617, 0.942, 0.241) [1 per cell]
P (0.679, 0.096, 0.581) [1 per cell]
P (0.684, 0.812, 0.876) [1 per cell]
P (0.975, 0.311, 0.096) [1 per cell]
P (0.975, 0.595, 0.394) [1 per cell]
O (0.004, 0.103, 0.401) [1 per cell]
O (0.010, 0.013, 0.833) [1 per cell]
O (0.033, 0.830, 0.671) [1 per cell]
O (0.126, 0.555, 0.804) [1 per cell]
O (0.149, 0.373, 0.641) [1 per cell]
O (0.152, 0.288, 0.070) [1 per cell]
O (0.156, 0.588, 0.389) [1 per cell]
O (0.188, 0.063, 0.662) [1 per cell]
O (0.213, 0.092, 0.253) [1 per cell]
O (0.218, 0.912, 0.414) [1 per cell]
O (0.220, 0.671, 0.996) [1 per cell]
O (0.229, 0.953, 0.043) [1 per cell]
O (0.250, 0.862, 0.804) [1 per cell]
O (0.252, 0.742, 0.191) [1 per cell]
O (0.273, 0.200, 0.438) [1 per cell]
O (0.384, 0.697, 0.518) [1 per cell]
O (0.408, 0.238, 0.788) [1 per cell]
O (0.411, 0.371, 0.170) [1 per cell]
O (0.425, 0.459, 0.924) [1 per cell]
O (0.430, 0.604, 0.707) [1 per cell]
O (0.436, 0.408, 0.556) [1 per cell]
O (0.437, 0.175, 0.982) [1 per cell]
O (0.477, 0.564, 0.309) [1 per cell]
O (0.497, 0.088, 0.585) [1 per cell]
O (0.508, 0.874, 0.331) [1 per cell]
O (0.509, 0.790, 0.902) [1 per cell]
O (0.530, 0.061, 0.169) [1 per cell]
O (0.630, 0.327, 0.301) [1 per cell]
O (0.650, 0.597, 0.566) [1 per cell]
O (0.653, 0.515, 0.138) [1 per cell]
O (0.659, 0.304, 0.886) [1 per cell]
O (0.678, 0.822, 0.158) [1 per cell]
O (0.713, 0.799, 0.752) [1 per cell]
O (0.718, 0.218, 0.488) [1 per cell]
O (0.721, 0.982, 0.911) [1 per cell]
O (0.730, 0.934, 0.542) [1 per cell]
O (0.751, 0.152, 0.682) [1 per cell]
O (0.752, 0.016, 0.297) [1 per cell]
O (0.780, 0.692, 0.938) [1 per cell]
O (0.883, 0.191, 0.035) [1 per cell]
O (0.903, 0.652, 0.291) [1 per cell]
O (0.906, 0.520, 0.673) [1 per cell]
O (0.927, 0.434, 0.434) [1 per cell]
O (0.937, 0.719, 0.484) [1 per cell]
O (0.938, 0.480, 0.058) [1 per cell]
O (0.944, 0.301, 0.219) [1 per cell]
O (0.976, 0.320, 0.814) [1 per cell]
O (0.997, 0.803, 0.091) [1 per cell]

Results
DFT formation energy in meV per atom: -2603
E_tot in eV per cell: -560.401
Distance to the lowest polymorph of the same formula in eV/atom: 0.002
Size of the total moment in μB/f.u.: 14.00
Calculated density in g cm⁻³: 2.96

***

[5]
Material: MoO2
Method: DFT, PBE with a Hubbard U
State: relaxed

Lattice parameters (Å, degrees): 10.623 10.623 3.264 90.00 90.00 90.00
Space group I4/m (No. 87)
Inequivalent atoms, fractional coordinates:
Mo (0.157, 0.658, 0.000) [8 per cell]
O (0.034, 0.338, 0.000) [8 per cell]
O (0.161, 0.785, 0.500) [8 per cell]

Results
DFT formation energy in meV per atom: -1939
E_tot in eV per cell: -175.862
Size of the total moment in μB/f.u.: 2.00
Calculated density in g cm⁻³: 4.61

***

[6]
Material: Mn2NiO6
Method: DFT, PBE with a Hubbard U
State: relaxed

Lattice parameters (Å, degrees): 8.682 5.008 10.013 90.00 90.00 90.00
Space group Cmce (No. 64)
Inequivalent atoms, fractional coordinates:
Mn (0.167, 0.000, 0.000) [8 per cell]
Ni (0.000, 0.000, 0.500) [4 per cell]
O (0.000, 0.172, 0.095) [8 per cell]
O (0.164, 0.164, 0.404) [16 per cell]

Results
DFT formation energy in meV per atom: -1410
E_tot in eV per cell: -225.946
Size of the total moment in μB/f.u.: 6.00
Calculated density in g cm⁻³: 4.04